[1]
! Li3Mn5O2F9 | the Materials Project | PBE+U | optimized geometry; values from VASP
! Energy with MP2020 corrections ... -6.8565 eV/atom
! Space group ... P1
! Calculated formation energy ... -2.716 eV/atom
! Calculated density ... 3.5 Mg/m³
&SYSTEM
  ibrav = 0, nat = 38, ntyp = 4
/
ATOMIC_SPECIES
Li 6.94 Li.upf
Mn 54.94 Mn.upf
O 16.00 O.upf
F 19.00 F.upf
CELL_PARAMETERS angstrom
6.648 0.000 0.000
1.473 6.773 0.000
1.041 1.472 10.610
ATOMIC_POSITIONS crystal
Li 0.778 0.865 0.534
Li 0.424 0.412 0.254
Li 0.800 0.793 0.996
Li 0.263 0.207 0.042
Li 0.574 0.574 0.731
Li 0.186 0.151 0.459
Mn 0.716 0.293 0.994
Mn 0.025 0.945 0.251
Mn 0.535 0.910 0.264
Mn 0.642 0.343 0.496
Mn 0.117 0.495 0.781
Mn 0.312 0.699 0.988
Mn 0.893 0.520 0.220
Mn 0.451 0.122 0.749
Mn 0.300 0.678 0.515
Mn 0.999 0.979 0.768
O 0.055 0.724 0.889
O 0.253 0.908 0.371
O 0.825 0.826 0.175
O 0.390 0.422 0.661
F 0.711 0.054 0.895
F 0.970 0.251 0.122
F 0.941 0.345 0.407
F 0.311 0.925 0.100
F 0.011 0.722 0.617
F 0.816 0.422 0.806
F 0.731 0.039 0.385
F 0.513 0.206 0.154
F 0.619 0.672 0.549
F 0.488 0.808 0.816
F 0.163 0.160 0.866
F 0.750 0.086 0.634
F 0.592 0.561 0.315
F 0.235 0.033 0.629
F 0.401 0.396 0.929
F 0.358 0.336 0.424
F 0.202 0.540 0.165
F 0.649 0.578 0.051

***

[2]
! Li5MnOF5 | the Materials Project | PBE+U | optimized geometry; values from VASP
! Energy with MP2020 corrections ... -5.6745 eV/atom
! Space group ... P3m1
! Piezoelectric modulus e_max ... 1.17 C/m2
! Calculated formation energy ... -2.905 eV/atom
! Calculated density ... 2.4 Mg/m³
&SYSTEM
  ibrav = 0, nat = 12, ntyp = 4
/
ATOMIC_SPECIES
F 19.00 F.upf
Li 6.94 Li.upf
Mn 54.94 Mn.upf
O 16.00 O.upf
CELL_PARAMETERS angstrom
-1.445 -2.163 2.028
0.716 -0.870 -3.099
13.416 -4.794 4.447
ATOMIC_POSITIONS crystal
F 0.667 0.333 0.145
F 0.000 0.000 0.626
F 0.667 0.333 0.787
F 0.000 0.000 0.304
F 0.667 0.333 0.465
Li 0.000 0.000 0.821
Li 0.000 0.000 0.499
Li 0.667 0.333 0.660
Li 0.000 0.000 0.177
Li 0.667 0.333 0.337
Mn 0.667 0.333 0.991
O 0.000 0.000 0.954

***

[3]
! Li2MnO2F | the Materials Project | PBE+U | optimized geometry; values from VASP
! Energy with MP2020 corrections ... -6.5339 eV/atom
! Space group ... C2/c
! E above lowest polymorph ... 0.51 eV per formula unit
! Calculated formation energy ... -2.402 eV/atom
! Calculated density ... 3.5 Mg/m³
&SYSTEM
  ibrav = 0, nat = 24, ntyp = 4
/
ATOMIC_SPECIES
O 16.00 O.upf
Li 6.94 Li.upf
Mn 54.94 Mn.upf
F 19.00 F.upf
CELL_PARAMETERS angstrom
-3.820 -3.539 -0.417
4.455 -1.221 2.280
-2.596 3.806 8.685
ATOMIC_POSITIONS crystal
O 0.745 0.804 0.354
O 0.059 0.804 0.146
O 0.255 0.196 0.646
O 0.941 0.196 0.854
O 0.526 0.824 0.632
O 0.474 0.176 0.368
O 0.298 0.824 0.868
O 0.702 0.176 0.132
Li 0.068 0.137 0.250
Li 0.677 0.872 0.994
Li 0.323 0.128 0.006
Li 0.804 0.128 0.494
Li 0.932 0.863 0.750
Li 0.500 0.500 0.500
Li 0.196 0.872 0.506
Li 0.000 0.500 0.000
Mn 0.256 0.511 0.750
Mn 0.744 0.489 0.250
Mn 0.580 0.159 0.750
Mn 0.420 0.840 0.250
F 0.356 0.485 0.117
F 0.644 0.515 0.883
F 0.129 0.485 0.383
F 0.871 0.515 0.617

***

[4]
! Li2MnO2F | the Materials Project | PBE+U | optimized geometry; values from VASP
! Energy with MP2020 corrections ... -6.5377 eV/atom
! Space group ... Cc
! E above lowest polymorph ... 0.49 eV per formula unit
! Calculated formation energy ... -2.406 eV/atom
! Calculated density ... 3.5 Mg/m³
&SYSTEM
  ibrav = 0, nat = 24, ntyp = 4
/
ATOMIC_SPECIES
O 16.00 O.upf
Li 6.94 Li.upf
F 19.00 F.upf
Mn 54.94 Mn.upf
CELL_PARAMETERS angstrom
0.060 -2.395 4.629
3.659 2.013 3.119
-4.032 8.129 2.336
ATOMIC_POSITIONS crystal
O 0.601 0.129 0.258
O 0.153 0.616 0.258
O 0.741 0.952 0.572
O 0.871 0.399 0.758
O 0.048 0.259 0.072
O 0.329 0.468 0.573
O 0.384 0.847 0.758
O 0.532 0.671 0.073
Li 0.352 0.891 0.228
Li 0.629 0.128 0.744
Li 0.070 0.214 0.610
Li 0.953 0.792 0.411
Li 0.872 0.371 0.244
Li 0.786 0.930 0.110
Li 0.208 0.047 0.911
Li 0.109 0.648 0.728
F 0.471 0.259 0.922
F 0.187 0.040 0.419
F 0.960 0.813 0.919
F 0.741 0.529 0.422
Mn 0.707 0.542 0.915
Mn 0.458 0.293 0.415
Mn 0.296 0.457 0.090
Mn 0.543 0.704 0.590

***

[5]
! Li2MnO2F | the Materials Project | PBE+U | optimized geometry; values from VASP
! Energy with MP2020 corrections ... -6.5837 eV/atom
! Space group ... Pnma
! E above lowest polymorph ... 0.21 eV per formula unit
! Calculated formation energy ... -2.452 eV/atom
! Calculated density ... 3.4 Mg/m³
&SYSTEM
  ibrav = 0, nat = 24, ntyp = 4
/
ATOMIC_SPECIES
F 19.00 F.upf
Mn 54.94 Mn.upf
O 16.00 O.upf
Li 6.94 Li.upf
CELL_PARAMETERS angstrom
-0.087 -2.176 -4.378
-3.347 -4.024 2.066
-6.883 4.616 -2.157
ATOMIC_POSITIONS crystal
F 0.737 0.866 0.250
F 0.763 0.366 0.250
F 0.237 0.634 0.750
F 0.263 0.134 0.750
Mn 0.246 0.374 0.250
Mn 0.746 0.126 0.750
Mn 0.254 0.874 0.250
Mn 0.754 0.626 0.750
O 0.723 0.876 0.904
O 0.223 0.624 0.404
O 0.723 0.876 0.596
O 0.777 0.376 0.596
O 0.223 0.624 0.096
O 0.277 0.124 0.096
O 0.777 0.376 0.904
O 0.277 0.124 0.404
Li 0.702 0.128 0.423
Li 0.298 0.872 0.923
Li 0.298 0.872 0.577
Li 0.202 0.372 0.577
Li 0.202 0.372 0.923
Li 0.798 0.628 0.077
Li 0.702 0.128 0.077
Li 0.798 0.628 0.423

***

[6]
! Li7MnO3F3 | the Materials Project | PBE+U | optimized geometry; values from VASP
! Energy with MP2020 corrections ... -4.8200 eV/atom
! Space group ... P1
! E above lowest polymorph ... 9.78 eV per formula unit
! Calculated formation energy ... -1.741 eV/atom
! Calculated density ... 2.3 Mg/m³
&SYSTEM
  ibrav = 0, nat = 28, ntyp = 4
/
ATOMIC_SPECIES
Li 6.94 Li.upf
O 16.00 O.upf
F 19.00 F.upf
Mn 54.94 Mn.upf
CELL_PARAMETERS angstrom
5.477 0.000 0.000
-2.218 5.652 0.000
-0.232 -3.076 9.656
ATOMIC_POSITIONS crystal
Li 0.000 0.467 0.880
Li 0.043 0.103 0.259
Li 0.928 0.626 0.334
Li 0.520 0.318 0.049
Li 0.954 0.190 0.461
Li 0.488 0.381 0.254
Li 0.563 0.872 0.185
Li 0.475 0.743 0.944
Li 0.982 0.509 0.110
Li 0.044 0.774 0.555
Li 0.502 0.988 0.382
Li 0.485 0.606 0.723
Li 0.002 0.900 0.775
Li 0.509 0.048 0.603
O 0.143 0.751 0.957
O 0.325 0.073 0.192
O 0.345 0.724 0.535
O 0.803 0.873 0.375
O 0.662 0.305 0.441
O 0.705 0.643 0.125
F 0.666 0.917 0.787
F 0.155 0.421 0.293
F 0.174 0.074 0.617
F 0.821 0.581 0.704
F 0.319 0.413 0.882
F 0.823 0.212 0.051
Mn 0.537 0.548 0.483
Mn 0.028 0.942 0.045

***

[7]
! LiMnOF2 | the Materials Project | PBE+U | optimized geometry; values from VASP
! Energy with MP2020 corrections ... -6.5865 eV/atom
! Space group ... C2/c
! E above lowest polymorph ... 0.29 eV per formula unit
! Calculated formation energy ... -2.617 eV/atom
! Calculated density ... 3.5 Mg/m³
&SYSTEM
  ibrav = 0, nat = 20, ntyp = 4
/
ATOMIC_SPECIES
Mn 54.94 Mn.upf
Li 6.94 Li.upf
F 19.00 F.upf
O 16.00 O.upf
CELL_PARAMETERS angstrom
4.648 2.745 -0.198
-4.648 2.745 0.198
0.874 2.745 8.507
ATOMIC_POSITIONS crystal
Mn 0.000 0.000 0.500
Mn 0.000 0.500 0.000
Mn 0.575 0.825 0.250
Mn 0.425 0.175 0.750
Li 0.709 0.871 0.847
Li 0.217 0.556 0.653
Li 0.291 0.130 0.153
Li 0.783 0.444 0.347
F 0.376 0.403 0.348
F 0.624 0.597 0.652
F 0.223 0.290 0.973
F 0.237 0.804 0.473
F 0.749 0.276 0.848
F 0.763 0.196 0.527
F 0.251 0.724 0.152
F 0.778 0.710 0.027
O 0.895 0.880 0.321
O 0.701 0.216 0.179
O 0.300 0.784 0.821
O 0.105 0.120 0.679

***

[8]
! Li2MnO2F | the Materials Project | PBE+U | optimized geometry; values from VASP
! Energy with MP2020 corrections ... -6.5340 eV/atom
! Space group ... P1
! E above lowest polymorph ... 0.51 eV per formula unit
! Calculated formation energy ... -2.402 eV/atom
! Calculated density ... 3.6 Mg/m³
&SYSTEM
  ibrav = 0, nat = 12, ntyp = 4
/
ATOMIC_SPECIES
O 16.00 O.upf
Mn 54.94 Mn.upf
F 19.00 F.upf
Li 6.94 Li.upf
CELL_PARAMETERS angstrom
2.658 4.375 0.029
-2.606 4.343 0.024
-2.031 0.016 4.822
ATOMIC_POSITIONS crystal
O 0.463 0.023 0.235
O 0.119 0.727 0.257
O 0.716 0.137 0.726
O 0.005 0.493 0.742
Mn 0.888 0.907 0.490
Mn 0.082 0.096 0.990
F 0.346 0.822 0.749
F 0.801 0.348 0.238
Li 0.749 0.766 0.991
Li 0.568 0.593 0.493
Li 0.395 0.419 0.992
Li 0.266 0.272 0.493

***

[9]
! LiMn2O2F3 | the Materials Project | PBE+U | optimized geometry; values from VASP
! Energy with MP2020 corrections ... -7.0251 eV/atom
! Space group ... C2/c
! E above lowest polymorph ... 0.14 eV per formula unit
! Calculated formation energy ... -2.541 eV/atom
! Calculated density ... 3.7 Mg/m³
&SYSTEM
  ibrav = 0, nat = 16, ntyp = 4
/
ATOMIC_SPECIES
Mn 54.94 Mn.upf
O 16.00 O.upf
F 19.00 F.upf
Li 6.94 Li.upf
CELL_PARAMETERS angstrom
0.000 5.468 0.000
-5.124 2.734 0.108
-2.662 0.000 6.631
ATOMIC_POSITIONS crystal
Mn 0.607 0.769 0.202
Mn 0.393 0.231 0.798
Mn 0.376 0.231 0.298
Mn 0.624 0.769 0.702
O 0.709 0.841 0.937
O 0.550 0.159 0.563
O 0.450 0.841 0.437
O 0.291 0.159 0.062
F 0.937 0.398 0.338
F 0.820 0.000 0.250
F 0.335 0.603 0.162
F 0.665 0.397 0.838
F 0.180 0.000 0.750
F 0.063 0.602 0.662
Li 0.000 0.000 0.000
Li 0.000 0.000 0.500

***

[10]
! LiMnOF2 | the Materials Project | PBE+U | optimized geometry; values from VASP
! Energy with MP2020 corrections ... -6.6441 eV/atom
! Space group ... C2/c
! E above lowest polymorph ... 0.00 eV per formula unit
! Calculated formation energy ... -2.674 eV/atom
! Calculated density ... 3.4 Mg/m³
&SYSTEM
  ibrav = 0, nat = 20, ntyp = 4
/
ATOMIC_SPECIES
F 19.00 F.upf
O 16.00 O.upf
Li 6.94 Li.upf
Mn 54.94 Mn.upf
CELL_PARAMETERS angstrom
6.601 0.003 0.025
-0.542 6.579 -0.025
-0.609 0.560 5.256
ATOMIC_POSITIONS crystal
F 0.132 0.374 0.873
F 0.289 0.532 0.356
F 0.626 0.868 0.373
F 0.711 0.468 0.644
F 0.868 0.626 0.127
F 0.468 0.711 0.856
F 0.532 0.289 0.144
F 0.374 0.132 0.627
O 0.806 0.001 0.901
O 0.194 0.999 0.099
O 0.999 0.194 0.401
O 0.001 0.806 0.599
Li 0.220 0.607 0.670
Li 0.607 0.220 0.830
Li 0.393 0.780 0.170
Li 0.780 0.393 0.330
Mn 0.257 0.257 0.250
Mn 0.911 0.911 0.250
Mn 0.089 0.089 0.750
Mn 0.743 0.743 0.750

***

[11]
! Li2MnO2F | the Materials Project | PBE+U | optimized geometry; values from VASP
! Energy with MP2020 corrections ... -6.5369 eV/atom
! Space group ... P-1
! E above lowest polymorph ... 0.50 eV per formula unit
! Calculated formation energy ... -2.405 eV/atom
! Calculated density ... 3.5 Mg/m³
&SYSTEM
  ibrav = 0, nat = 24, ntyp = 4
/
ATOMIC_SPECIES
F 19.00 F.upf
Mn 54.94 Mn.upf
Li 6.94 Li.upf
O 16.00 O.upf
CELL_PARAMETERS angstrom
-2.340 3.201 -3.233
-2.578 -4.167 1.748
-2.334 3.944 8.793
ATOMIC_POSITIONS crystal
F 0.379 0.485 0.120
F 0.621 0.515 0.880
F 0.446 0.167 0.387
F 0.554 0.833 0.613
Mn 0.590 0.167 0.750
Mn 0.236 0.496 0.752
Mn 0.410 0.833 0.250
Mn 0.764 0.504 0.248
Li 0.000 0.500 0.000
Li 0.945 0.854 0.747
Li 0.135 0.819 0.495
Li 0.299 0.128 0.003
Li 0.500 0.500 0.500
Li 0.865 0.181 0.505
Li 0.701 0.872 0.997
Li 0.055 0.146 0.253
O 0.129 0.523 0.363
O 0.871 0.477 0.637
O 0.061 0.826 0.128
O 0.684 0.164 0.146
O 0.239 0.202 0.642
O 0.939 0.174 0.872
O 0.761 0.798 0.358
O 0.316 0.836 0.854

***

[12]
! Li3MnO2F | the Materials Project | PBE+U | optimized geometry; values from VASP
! Energy with MP2020 corrections ... -6.0758 eV/atom
! Space group ... Pnnm
! E above lowest polymorph ... 0.00 eV per formula unit
! Calculated formation energy ... -2.262 eV/atom
! Calculated density ... 2.6 Mg/m³
&SYSTEM
  ibrav = 0, nat = 28, ntyp = 4
/
ATOMIC_SPECIES
Mn 54.94 Mn.upf
O 16.00 O.upf
Li 6.94 Li.upf
F 19.00 F.upf
CELL_PARAMETERS angstrom
-8.810 1.493 1.251
-0.891 -8.919 4.372
0.698 1.476 3.153
ATOMIC_POSITIONS crystal
Mn 0.115 0.898 0.500
Mn 0.385 0.398 0.000
Mn 0.615 0.602 0.000
Mn 0.885 0.102 0.500
O 0.830 0.622 0.000
O 0.606 0.384 0.000
O 0.394 0.616 0.000
O 0.170 0.378 0.000
O 0.894 0.884 0.500
O 0.330 0.878 0.500
O 0.106 0.116 0.500
O 0.670 0.122 0.500
Li 0.167 0.180 0.000
Li 0.595 0.156 0.000
Li 0.346 0.072 0.500
Li 0.833 0.820 0.000
Li 0.333 0.680 0.500
Li 0.095 0.344 0.500
Li 0.654 0.928 0.500
Li 0.905 0.656 0.500
Li 0.405 0.844 0.000
Li 0.846 0.428 0.000
Li 0.667 0.320 0.500
Li 0.154 0.572 0.000
F 0.618 0.855 0.000
F 0.382 0.145 0.000
F 0.118 0.645 0.500
F 0.882 0.355 0.500

***

[13]
! Li2MnO2F | the Materials Project | PBE+U | optimized geometry; values from VASP
! Energy with MP2020 corrections ... -6.5372 eV/atom
! Space group ... C2/c
! E above lowest polymorph ... 0.49 eV per formula unit
! Calculated formation energy ... -2.405 eV/atom
! Calculated density ... 3.5 Mg/m³
&SYSTEM
  ibrav = 0, nat = 24, ntyp = 4
/
ATOMIC_SPECIES
F 19.00 F.upf
O 16.00 O.upf
Mn 54.94 Mn.upf
Li 6.94 Li.upf
CELL_PARAMETERS angstrom
2.596 4.473 -0.001
-2.596 4.473 0.001
1.659 0.000 9.706
ATOMIC_POSITIONS crystal
F 0.058 0.274 0.366
F 0.274 0.058 0.634
F 0.442 0.226 0.134
F 0.226 0.442 0.866
O 0.670 0.971 0.394
O 0.529 0.830 0.894
O 0.398 0.619 0.382
O 0.619 0.398 0.618
O 0.101 0.881 0.118
O 0.881 0.101 0.882
O 0.971 0.670 0.606
O 0.830 0.529 0.106
Mn 0.664 0.664 0.500
Mn 0.159 0.159 0.000
Mn 0.341 0.341 0.500
Mn 0.836 0.836 0.000
Li 0.417 0.890 0.255
Li 0.513 0.513 0.000
Li 0.890 0.417 0.745
Li 0.083 0.610 0.245
Li 0.610 0.083 0.755
Li 0.250 0.750 0.750
Li 0.987 0.987 0.500
Li 0.750 0.250 0.250

***

[14]
! Li3Mn3OF7 | the Materials Project | PBE+U | optimized geometry; values from VASP
! Energy with MP2020 corrections ... -6.5334 eV/atom
! Calculated formation energy ... -2.850 eV/atom
! Calculated density ... 3.2 Mg/m³
&SYSTEM
  ibrav = 0, nat = 28, ntyp = 4
/
ATOMIC_SPECIES
O 16.00 O.upf
F 19.00 F.upf
Mn 54.94 Mn.upf
Li 6.94 Li.upf
CELL_PARAMETERS angstrom
2.675 -2.976 4.726
-3.253 6.243 5.375
-5.247 -3.446 0.804
ATOMIC_POSITIONS crystal
O 0.771 0.385 0.000
O 0.271 0.885 0.500
F 0.759 0.366 0.500
F 0.510 0.125 0.261
F 0.495 0.629 0.763
F 0.259 0.866 0.000
F 0.749 0.886 0.500
F 0.496 0.630 0.237
F 0.249 0.386 0.000
F 0.230 0.365 0.500
F 0.009 0.623 0.238
F 0.995 0.129 0.263
F 0.730 0.865 0.000
F 0.010 0.625 0.761
F 0.996 0.130 0.737
F 0.509 0.123 0.738
Mn 0.487 0.873 0.739
Mn 0.485 0.874 0.262
Mn 0.985 0.374 0.762
Mn 0.987 0.373 0.239
Mn 0.747 0.613 0.999
Mn 0.247 0.113 0.499
Li 0.999 0.000 0.000
Li 0.746 0.123 0.500
Li 0.517 0.259 0.000
Li 0.499 0.500 0.500
Li 0.017 0.759 0.500
Li 0.246 0.623 0.000